{
  "formula": "ScMnBi2O6",
  "functional": "PBE+U",
  "state": "relaxed",
  "energy_corrected_mp2020_ev_per_atom": -7.579,
  "ef_ev_per_atom": -2.28,
  "total_energy_ry_per_atom": -0.514,
  "m_tot_mub_per_atom": 0.000,
  "lattice": [[-4.383, -3.507, -0.835], [-4.921, 7.738, -4.105], [5.307, -4.848, -7.040]],
  "species": ["O", "O", "O", "O", "O", "O", "O", "O", "O", "O", "O", "O", "O", "O", "O", "O", "O", "O", "O", "O", "O", "O", "O", "O", "Sc", "Sc", "Sc", "Sc", "Bi", "Bi", "Bi", "Bi", "Bi", "Bi", "Bi", "Bi", "Mn", "Mn", "Mn", "Mn"],
  "frac_coords": [[0.495, 0.076, 0.880], [0.988, 0.912, 0.083], [0.012, 0.088, 0.917], [0.570, 0.829, 0.583], [0.172, 0.899, 0.380], [0.005, 0.424, 0.120], [0.719, 0.812, 0.837], [0.219, 0.312, 0.837], [0.591, 0.377, 0.663], [0.930, 0.671, 0.417], [0.409, 0.623, 0.337], [0.995, 0.576, 0.880], [0.092, 0.877, 0.663], [0.908, 0.123, 0.337], [0.488, 0.412, 0.083], [0.505, 0.924, 0.120], [0.828, 0.101, 0.620], [0.672, 0.399, 0.380], [0.070, 0.329, 0.583], [0.281, 0.189, 0.163], [0.430, 0.171, 0.417], [0.512, 0.588, 0.917], [0.781, 0.688, 0.163], [0.328, 0.601, 0.620], [0.736, 0.514, 0.250], [0.264, 0.486, 0.750], [0.236, 0.014, 0.250], [0.764, 0.986, 0.750], [0.248, 0.900, 0.878], [0.752, 0.100, 0.122], [0.715, 0.637, 0.622], [0.748, 0.400, 0.878], [0.785, 0.863, 0.378], [0.285, 0.363, 0.378], [0.215, 0.137, 0.622], [0.252, 0.600, 0.122], [0.750, 0.250, 0.500], [0.250, 0.250, 0.000], [0.750, 0.750, 0.000], [0.250, 0.750, 0.500]]
}

***

{
  "formula": "SrMn2BiO6",
  "functional": "PBE+U",
  "state": "relaxed",
  "energy_corrected_mp2020_ev_per_atom": -7.505,
  "ef_ev_per_atom": -2.15,
  "spacegroup": "P1",
  "de_polymorph_ev_per_atom": 0.000,
  "total_energy_ry_per_atom": -0.497,
  "m_tot_mub_per_atom": 0.700,
  "lattice": [[4.064, 3.981, 0.024], [-3.961, 7.832, -3.885], [-4.001, -0.034, 3.857]],
  "species": ["O", "O", "O", "O", "O", "O", "O", "O", "O", "O", "O", "O", "Mn", "Mn", "Mn", "Mn", "Bi", "Bi", "Sr", "Sr"],
  "frac_coords": [[0.596, 0.707, 0.375], [0.015, 0.983, 0.519], [0.510, 0.970, 0.574], [0.089, 0.243, 0.323], [0.551, 0.209, 0.857], [0.071, 0.485, 0.038], [0.102, 0.743, 0.830], [0.059, 0.232, 0.827], [0.556, 0.466, 0.077], [0.084, 0.730, 0.318], [0.485, 0.957, 0.031], [0.516, 0.458, 0.542], [0.280, 0.108, 0.683], [0.782, 0.355, 0.930], [0.305, 0.610, 0.187], [0.775, 0.857, 0.425], [0.457, 0.769, 0.750], [0.459, 0.271, 0.249], [0.017, 0.989, 0.042], [0.041, 0.484, 0.548]]
}

***

{
  "formula": "Sr2Mn3Bi2O2",
  "functional": "PBE+U",
  "state": "relaxed",
  "energy_corrected_mp2020_ev_per_atom": -6.575,
  "ef_ev_per_atom": -1.18,
  "spacegroup": "I4/mmm",
  "total_energy_ry_per_atom": -0.431,
  "m_tot_mub_per_atom": 1.625,
  "lattice": [[-2.189, 2.189, 10.602], [2.189, -2.189, 10.602], [2.189, 2.189, -10.602]],
  "species": ["Bi", "Bi", "Mn", "Mn", "Mn", "O", "O", "Sr", "Sr"],
  "frac_coords": [[0.159, 0.159, 0.000], [0.841, 0.841, 0.000], [0.250, 0.750, 0.500], [0.750, 0.250, 0.500], [0.000, 0.000, 0.000], [0.000, 0.500, 0.500], [0.500, 0.000, 0.500], [0.424, 0.424, 0.000], [0.576, 0.576, 0.000]]
}